Compound: K2ZnI4
Source: the Materials Project
Functional: GGA-PBE
Structure: relaxed

```
K2ZnI4
1.0
7.9839 0.0000 0.0000
0.0000 8.3444 0.0000
-3.0616 0.0000 9.3870
K Zn I
4 2 8
Cartesian
1.5869 2.0861 0.4812
0.3813 2.0861 5.3311
4.5411 6.2583 4.0559
3.3355 6.2583 8.9058
-0.6706 6.2583 7.5028
5.5929 2.0861 1.8842
-2.2055 8.3418 6.9475
-2.2055 4.1747 6.9475
2.9718 6.2583 0.6828
1.4310 6.2583 5.9095
3.4913 2.0861 3.4775
1.9505 2.0861 8.7042
7.1278 0.0026 2.4395
7.1278 4.1696 2.4395
```

Computed properties:
The formation energy is -129.0 kJ/mol of atoms.